A plane-wave DFT calculation with PBE-GGA was carried out for a relaxed structure of Na5In3Si3SnS3O24.

abc: 9.1121 9.1233 22.9496
angles: 89.27 88.94 60.10
Closest atoms and distances in Å follow each position.
Space group P1 (No. 1)
Inequivalent atoms, fractional coordinates:
Na (0.0000, 0.0000, 0.0000)  4 O 2.34-2.61
Na (0.0018, 0.6423, 0.2538)  4 O 2.40-2.64
Na (0.0293, 0.9063, 0.6751)  6 O 2.42-2.70
Na (0.0400, 0.2774, 0.1613)  5 O 2.40-2.65
Na (0.2916, 0.6427, 0.1767)  4 O 2.36-2.58
Na (0.3092, 0.2955, 0.6631)  4 O 2.41-2.53
Na (0.3322, 0.9645, 0.0865)  6 O 2.51-2.79
Na (0.3343, 0.3342, 0.3379)  5 O 2.34-2.60
Na (0.3549, 0.2569, 0.0090)  5 O 2.40-2.59
Na (0.3570, 0.9407, 0.5836)  4 O 2.42-2.61
Na (0.3748, 0.6107, 0.4979)  4 O 2.37-2.61
Na (0.6297, 0.9745, 0.5095)  6 O 2.39-2.67
Na (0.6678, 0.3124, 0.4197)  4 O 2.43-2.64
Na (0.6982, 0.2859, 0.9125)  3 O 2.32-2.50
Na (0.9934, 0.6423, 0.7507)  4 O 2.42-2.66
In (0.9999, 0.6196, 0.8970)  5 O 2.03-2.26
In (0.0054, 0.6150, 0.1033)  6 O 2.08-2.27
In (0.0100, 0.6119, 0.4050)  4 O 2.04-2.26
In (0.3169, 0.9611, 0.9318)  5 O 2.02-2.26
In (0.3428, 0.9409, 0.4377)  6 O 2.05-2.26
In (0.6625, 0.2837, 0.2680)  5 O 2.04-2.22
In (0.6689, 0.2734, 0.7693)  5 O 2.04-2.21
In (0.6807, 0.2757, 0.0727)  4 O 2.07-2.24
In (0.9974, 0.6126, 0.6018)  6 O 2.04-2.25
Si (0.0309, 0.9540, 0.8359)  4 O 1.63-1.68
Si (0.3020, 0.3146, 0.5026)  4 O 1.63-1.69
Si (0.3345, 0.6525, 0.3362)  4 O 1.62-1.67
Si (0.3717, 0.2803, 0.1694)  4 O 1.62-1.67
Si (0.3716, 0.5808, 0.6707)  4 O 1.61-1.67
Si (0.6693, 0.9859, 0.6688)  4 O 1.60-1.69
Si (0.7117, 0.6114, 0.5023)  4 O 1.62-1.67
Si (0.9673, 0.9847, 0.1695)  4 O 1.61-1.69
Si (0.9969, 0.3272, 0.0020)  4 O 1.62-1.69
Sn (0.3279, 0.9510, 0.2353)  6 O 1.98-2.19
Sn (0.3425, 0.9341, 0.7334)  4 O 1.99-2.09
Sn (0.6497, 0.2983, 0.5690)  4 O 1.99-2.05
S (0.0389, 0.2457, 0.3348)  4 O 1.47-1.53
S (0.3036, 0.6171, 0.0019)  4 O 1.48-1.50
S (0.3355, 0.2445, 0.8346)  4 O 1.47-1.50
S (0.6275, 0.6586, 0.8363)  4 O 1.47-1.51
S (0.6302, 0.9479, 0.3339)  4 O 1.46-1.50
S (0.6640, 0.5860, 0.1698)  4 O 1.47-1.50
S (0.7021, 0.9130, 0.0014)  4 O 1.47-1.51
S (0.9629, 0.2813, 0.6696)  4 O 1.46-1.51
S (0.9959, 0.9221, 0.5038)  4 O 1.47-1.49
O (0.0210, 0.7776, 0.8367)  1 Si 1.66
O (0.0280, 0.8168, 0.5568)  1 S 1.48
O (0.0287, 0.4133, 0.3366)  1 S 1.49
O (0.0310, 0.4021, 0.0621)  1 Si 1.65
O (0.1078, 0.9735, 0.8976)  1 Si 1.64
O (0.1243, 0.1413, 0.3858)  1 S 1.47
O (0.1344, 0.1240, 0.6736)  1 S 1.51
O (0.1457, 0.1691, 0.2796)  1 S 1.53
O (0.1470, 0.9405, 0.4964)  1 S 1.47
O (0.1535, 0.9313, 0.7773)  1 Si 1.68
O (0.1630, 0.6318, 0.3369)  1 Si 1.66
O (0.1628, 0.9607, 0.1746)  1 Si 1.69
O (0.1753, 0.1356, 0.9994)  1 Si 1.69
O (0.1772, 0.4428, 0.1661)  1 Si 1.65
O (0.1777, 0.4101, 0.8364)  1 S 1.48
O (0.1834, 0.5981, 0.6659)  1 Si 1.65
O (0.1984, 0.3973, 0.5629)  1 Si 1.63
O (0.1978, 0.6521, 0.0562)  1 S 1.50
O (0.2190, 0.5937, 0.9515)  1 S 1.48
O (0.2337, 0.4341, 0.4441)  1 Si 1.64
O (0.3175, 0.7619, 0.2751)  1 Si 1.67
O (0.3220, 0.1533, 0.7830)  1 S 1.50
O (0.3255, 0.7676, 0.9960)  1 S 1.49
O (0.3297, 0.1235, 0.4961)  1 Si 1.64
O (0.3410, 0.7769, 0.6731)  1 Si 1.67
O (0.3510, 0.7416, 0.3943)  1 Si 1.62
O (0.3534, 0.1078, 0.1775)  1 Si 1.67
O (0.3595, 0.1461, 0.8896)  1 S 1.49
O (0.4462, 0.3260, 0.2256)  1 Si 1.62
O (0.4630, 0.4591, 0.7255)  1 Si 1.61
O (0.4688, 0.4594, 0.0078)  1 S 1.48
O (0.4769, 0.2571, 0.1077)  1 Si 1.65
O (0.4812, 0.5097, 0.6091)  1 Si 1.66
O (0.4809, 0.9939, 0.6775)  1 Si 1.69
O (0.4842, 0.2668, 0.8316)  1 S 1.47
O (0.4970, 0.2921, 0.5059)  1 Si 1.69
O (0.5034, 0.4605, 0.3323)  1 Si 1.66
O (0.5095, 0.7567, 0.1760)  1 S 1.50
O (0.5140, 0.7720, 0.5001)  1 Si 1.66
O (0.5261, 0.9770, 0.3877)  1 S 1.49
O (0.5269, 0.7424, 0.8895)  1 S 1.48
O (0.5303, 0.9327, 0.9953)  1 S 1.49
O (0.5408, 0.9322, 0.2819)  1 S 1.50
O (0.5498, 0.7655, 0.7828)  1 S 1.51
O (0.6290, 0.5142, 0.1175)  1 S 1.49
O (0.6304, 0.1060, 0.6086)  1 Si 1.68
O (0.6373, 0.4930, 0.8318)  1 S 1.47
O (0.6417, 0.1047, 0.3295)  1 S 1.49
O (0.6803, 0.0876, 0.0047)  1 S 1.51
O (0.6943, 0.4799, 0.2217)  1 S 1.47
O (0.6950, 0.4378, 0.5089)  1 Si 1.67
O (0.7146, 0.0656, 0.7228)  1 Si 1.60
O (0.7776, 0.8159, 0.0551)  1 S 1.47
O (0.7856, 0.6647, 0.5565)  1 Si 1.62
O (0.7970, 0.7969, 0.3366)  1 S 1.46
O (0.7979, 0.6402, 0.8377)  1 S 1.48
O (0.8121, 0.8360, 0.9497)  1 S 1.48
O (0.8148, 0.6046, 0.1627)  1 S 1.47
O (0.8167, 0.5900, 0.4417)  1 Si 1.63
O (0.8336, 0.2948, 0.0049)  1 Si 1.66
O (0.8357, 0.8007, 0.6625)  1 Si 1.62
O (0.8411, 0.0911, 0.5107)  1 S 1.49
O (0.8481, 0.1281, 0.8319)  1 Si 1.63
O (0.8541, 0.0799, 0.2260)  1 Si 1.61
O (0.8615, 0.3072, 0.7231)  1 S 1.47
O (0.8713, 0.2614, 0.3296)  1 S 1.47
O (0.8839, 0.2525, 0.6175)  1 S 1.50
O (0.9069, 0.0977, 0.1092)  1 Si 1.64
O (0.9633, 0.8472, 0.4521)  1 S 1.48
O (0.9806, 0.4427, 0.9457)  1 Si 1.62
O (0.9908, 0.4257, 0.6644)  1 S 1.46
O (0.9954, 0.7933, 0.1637)  1 Si 1.64

Calculated values
The MP2020-corrected energy comes out at -6.533 eV/atom. The calculated density comes out at 3.442 g/cm3. The calculated formation energy is -2.27 eV/atom.

=====

A plane-wave DFT calculation with PBE-GGA was carried out for a relaxed structure of Sm11Fe12C18.

abc: 10.3395 10.3395 10.3395
angles: 90.00 90.00 90.00
Closest atoms and distances in Å follow each position.
Space group I-43m (No. 217)
Inequivalent atoms, fractional coordinates:
Sm (0.0000, 0.0000, 0.0000)  12 Fe 3.11
Sm (0.0000, 0.2500, 0.5000)  8 C 2.63-2.68
Sm (0.2035, 0.2035, 0.2035)  6 C 2.65-2.69
Fe (0.0798, 0.0798, 0.7216)  3 C 1.82-1.96
C (0.0000, 0.0000, 0.4309)  1 C 1.43
C (0.0446, 0.2496, 0.7504)  2 Fe 1.82

Calculated values
The calculated density comes out at 7.633 g/cm3. The calculated formation energy is -0.24 eV/atom.

=====

A plane-wave DFT calculation with PBE-GGA was carried out for a relaxed structure of BaSiPd.

abc: 6.7498 6.7498 6.7498
angles: 90.00 90.00 90.00
Closest atoms and distances in Å follow each position.
Space group P2_13 (No. 198)
Inequivalent atoms, fractional coordinates:
Ba (0.1324, 0.1324, 0.1324)  4 Pd 3.19-3.48, 4 Si 3.37-3.52
Si (0.1562, 0.3438, 0.6562)  3 Pd 2.42
Pd (0.0945, 0.5945, 0.9055)  3 Si 2.42

Calculated values
The calculated density comes out at 5.871 g/cm3. The calculated formation energy is -0.73 eV/atom.

=====

A plane-wave DFT calculation with PBE-GGA was carried out for a relaxed structure of Tb2SeO2.

abc: 3.8707 12.2432 3.8605
angles: 90.00 90.00 90.00
Closest atoms and distances in Å follow each position.
Space group Pnnm (No. 58)
Inequivalent atoms, fractional coordinates:
Tb (0.0700, 0.1568, 0.0000)  4 O 2.23-2.26
Se (0.0000, 0.5000, 0.0000)  8 Tb 3.19-3.50, 2 O 3.50
O (0.0655, 0.2505, 0.5000)  4 Tb 2.23-2.26

Calculated values
The MP2020-corrected energy comes out at -7.880 eV/atom. The calculated density comes out at 7.784 g/cm3. The calculated formation energy is -3.35 eV/atom.

=====

A plane-wave DFT calculation with PBE-GGA was carried out for a relaxed structure of CdC2S2N4Cl2.

abc: 15.6560 5.5686 5.8308
angles: 90.00 90.00 90.00
Closest atoms and distances in Å follow each position.
Space group Pmn2_1 (No. 31)
Inequivalent atoms, fractional coordinates:
Cd (0.0000, 0.0782, 0.0000)  2 Cl 2.45-2.53, 2 S 2.64
C (0.2162, 0.7720, 0.6139)  2 N 1.18-1.32
S (0.1256, 0.2844, 0.2282)  1 N 1.60
N (0.1417, 0.7390, 0.6146)  1 C 1.18
N (0.2029, 0.1707, 0.0859)  1 C 1.32
Cl (0.0000, 0.1972, 0.5949)  1 Cd 2.45
Cl (0.0000, 0.6397, 0.1155)  1 Cd 2.53

Calculated values
The MP2020-corrected energy comes out at -5.620 eV/atom. The calculated density comes out at 2.140 g/cm3. The calculated formation energy is 0.26 eV/atom.

=====

A plane-wave DFT calculation with PBE-GGA was carried out for a relaxed structure of Ti6Al16Ru7.

abc: 12.1808 12.1808 12.1808
angles: 90.00 90.00 90.00
Closest atoms and distances in Å follow each position.
Space group Fm-3m (No. 225)
Inequivalent atoms, fractional coordinates:
Ti (0.0000, 0.0000, 0.2076)  8 Al 2.78-2.95, 4 Ru 3.09
Al (0.1202, 0.1202, 0.3798)  4 Ru 2.54-2.67, 3 Al 2.78
Al (0.1575, 0.1575, 0.1575)  3 Ru 2.49, 3 Ti 2.78, 3 Al 2.78
Ru (0.0000, 0.0000, 0.5000)  8 Al 2.54
Ru (0.0000, 0.2500, 0.2500)  8 Al 2.49-2.67

Calculated values
The calculated density comes out at 5.242 g/cm3. The calculated formation energy is -0.54 eV/atom.

=====

A plane-wave DFT calculation with PBE-GGA was carried out for a relaxed structure of TbCuTe2.

abc: 4.3698 4.3698 6.8939
angles: 90.00 90.00 120.00
Closest atoms and distances in Å follow each position.
Space group P3m1 (No. 156)
Inequivalent atoms, fractional coordinates:
Tb (0.0000, 0.0000, 0.0000)  6 Te 3.05-3.15
Cu (0.3333, 0.6667, 0.3678)  4 Te 2.61-2.64
Te (0.3333, 0.6667, 0.7505)  1 Cu 2.64
Te (0.6667, 0.3333, 0.2733)  3 Cu 2.61

Calculated values
The MP2020-corrected energy comes out at -4.851 eV/atom. The calculated density comes out at 6.958 g/cm3. The calculated formation energy is -1.10 eV/atom.

=====

A plane-wave DFT calculation with PBE-GGA was carried out for a relaxed structure of HoNi3.

abc: 4.9376 4.9376 24.2335
angles: 90.00 90.00 120.00
Closest atoms and distances in Å follow each position.
Space group R-3m (No. 166, hexagonal axes)
Inequivalent atoms, fractional coordinates:
Ho (0.0000, 0.0000, 0.0000)  18 Ni 2.85-3.17
Ho (0.0000, 0.0000, 0.1389)  12 Ni 2.83-3.07, 3 Ho 3.15
Ni (0.0000, 0.0000, 0.3331)  6 Ni 2.44-2.46
Ni (0.0000, 0.0000, 0.5000)  6 Ni 2.50
Ni (0.0011, 0.5006, 0.9178)  7 Ni 2.44-2.50

Calculated values
The calculated density comes out at 9.960 g/cm3. The calculated formation energy is -0.43 eV/atom.

=====

A plane-wave DFT calculation with PBE-GGA was carried out for a relaxed structure of MnZnGa4Se8.

abc: 5.6508 5.6508 11.0683
angles: 90.00 90.00 90.00
Closest atoms and distances in Å follow each position.
Space group P-4 (No. 81)
Inequivalent atoms, fractional coordinates:
Mn (0.0000, 0.0000, 0.0000)  4 Se 2.52
Zn (0.5000, 0.5000, 0.5000)  4 Se 2.50
Ga (0.0000, 0.0000, 0.5000)  4 Se 2.46
Ga (0.0000, 0.5000, 0.2507)  4 Se 2.46
Ga (0.5000, 0.5000, 0.0000)  4 Se 2.46
Se (0.2347, 0.2588, 0.6329)  2 Ga 2.46, 1 Zn 2.50
Se (0.2437, 0.7331, 0.8660)  2 Ga 2.46, 1 Mn 2.52

Calculated values
The MP2020-corrected energy comes out at -4.479 eV/atom. The calculated density comes out at 4.844 g/cm3. The calculated formation energy is -0.87 eV/atom.

=====

A plane-wave DFT calculation with PBE-GGA was carried out for a relaxed structure of RbNdSe2O11.

abc: 5.7230 7.2754 14.6843
angles: 95.46 100.16 106.76
Closest atoms and distances in Å follow each position.
Space group P-1 (No. 2)
Inequivalent atoms, fractional coordinates:
Rb (0.1945, 0.2255, 0.1115)  5 O 2.87-3.18
Nd (0.4523, 0.6938, 0.3331)  6 O 2.29-2.55
Se (0.1566, 0.4066, 0.8566)  4 O 1.65-1.70
Se (0.4718, 0.2096, 0.4129)  4 O 1.67-1.68
O (0.0811, 0.6749, 0.4094)  1 O 2.15
O (0.0922, 0.2169, 0.9123)  1 Se 1.65
O (0.1137, 0.5831, 0.2101)  1 Se 1.70
O (0.2140, 0.7165, 0.5589)  1 Se 1.68
O (0.2178, 0.9472, 0.7634)  1 O 1.24
O (0.2888, 0.6197, 0.9247)  1 Se 1.65
O (0.3419, 0.3792, 0.7810)  1 Se 1.70
O (0.3515, 0.1844, 0.5085)  1 Se 1.67
O (0.3634, 0.9988, 0.3384)  1 Se 1.68
O (0.3664, 0.3684, 0.3557)  1 Se 1.68
O (0.3848, 0.9742, 0.8338)  1 O 1.24

Calculated values
The MP2020-corrected energy comes out at -5.602 eV/atom. The calculated density comes out at 3.288 g/cm3. The calculated formation energy is -1.12 eV/atom.

=====

A plane-wave DFT calculation with PBE-GGA was carried out for a relaxed structure of LuU2S3O2.

abc: 3.7790 3.7790 20.9824
angles: 90.00 90.00 90.00
Closest atoms and distances in Å follow each position.
Space group I4/mmm (No. 139)
Inequivalent atoms, fractional coordinates:
Lu (0.0000, 0.0000, 0.0000)  6 S 2.66-2.67
U (0.0000, 0.0000, 0.3145)  4 O 2.32
S (0.0000, 0.0000, 0.1269)  1 Lu 2.66, 4 U 2.94
S (0.0000, 0.0000, 0.5000)  4 Lu 2.67
O (0.0000, 0.5000, 0.2500)  4 U 2.32

Calculated values
The MP2020-corrected energy comes out at -8.868 eV/atom. The calculated density comes out at 8.636 g/cm3. The calculated formation energy is -2.69 eV/atom.

=====

A plane-wave DFT calculation with PBE-GGA was carried out for a relaxed structure of Mn3B4Mo3.

abc: 3.0920 8.1367 7.9895
angles: 90.00 90.00 90.00
Closest atoms and distances in Å follow each position.
Space group Amm2 (No. 38)
Inequivalent atoms, fractional coordinates:
Mn (0.0000, 0.0000, 0.0000)  6 B 2.21-2.22
Mn (0.5000, 0.2484, 0.0751)  4 B 2.20-2.39
B (0.5000, 0.0000, 0.1988)  1 B 1.93
B (0.5000, 0.0000, 0.4399)  1 B 1.93
B (0.5000, 0.1110, 0.8383)  1 B 1.81
Mo (0.0000, 0.0000, 0.6536)  6 B 2.30-2.32
Mo (0.0000, 0.1779, 0.3230)  6 B 2.31-2.34, 2 Mn 2.58

Calculated values
The calculated density comes out at 8.193 g/cm3. The calculated formation energy is -0.42 eV/atom.

=====

Among the records above, which one has the lowest calculated density? CdC2S2N4Cl2

=====

Which formula does entry 4 have? Tb2SeO2

=====

The lowest calculated density belongs to which entry? CdC2S2N4Cl2

=====

Which formula does entry 3 have? BaSiPd